Record 1
# Cu3WO6 (GGA+U, optimized geometry)
# * DFT formation energy: -1.36 eV/atom
# * energy with MP2020 corrections: -6.852 eV/atom
# * magnetization: 0.00 μB/f.u.
data_Cu3WO6
_cell_length_a 9.9184
_cell_length_b 9.9184
_cell_length_c 9.9184
_cell_angle_alpha 90.00
_cell_angle_beta 90.00
_cell_angle_gamma 90.00
_symmetry_space_group_name_H-M 'P a -3'
_symmetry_Int_Tables_number 205
_symmetry_space_group_name_Hall '-P 2ac 2ab 3'
loop_
_atom_site_label
_atom_site_type_symbol
_atom_site_fract_x
_atom_site_fract_y
_atom_site_fract_z
Cu1 Cu 0.0950 0.2434 0.8640
W1 W 0.1170 0.6170 0.8830
O1 O 0.0373 0.1971 0.5528
O2 O 0.0918 0.7211 0.6957

---

Record 2
# LiCo2OF3 (GGA+U, optimized geometry)
# * DFT formation energy: -2.18 eV/atom
# * offset from the most stable computed form: 0.0363 eV per atom
# * energy with MP2020 corrections: -6.013 eV/atom
# * magnetization: 6.00 μB/f.u.
data_LiCo2OF3
_cell_length_a 6.1694
_cell_length_b 6.1285
_cell_length_c 8.4963
_cell_angle_alpha 90.00
_cell_angle_beta 90.50
_cell_angle_gamma 90.00
_symmetry_space_group_name_H-M 'P 1 2 1'
_symmetry_Int_Tables_number 3
loop_
_symmetry_equiv_pos_as_xyz
'x,y,z'
'-x,y,-z'
loop_
_atom_site_label
_atom_site_type_symbol
_atom_site_fract_x
_atom_site_fract_y
_atom_site_fract_z
Li1 Li 0.0000 0.0000 0.0000
Li2 Li 0.2342 0.2351 0.7490
Li3 Li 0.5000 0.9973 0.0000
Co1 Co 0.0000 0.4404 0.5000
Co2 Co 0.2205 0.4797 0.1320
Co3 Co 0.2365 0.7239 0.7550
Co4 Co 0.2604 0.0027 0.3741
Co5 Co 0.5000 0.4459 0.5000
O1 O 0.0217 0.4960 0.7350
O2 O 0.2579 0.2433 0.5092
F1 F 0.0091 0.9833 0.7626
F2 F 0.2485 0.2169 0.9963
F3 F 0.2485 0.7507 0.9987
F4 F 0.2741 0.7225 0.5046
F5 F 0.4756 0.9668 0.7640
F6 F 0.4880 0.4821 0.7549

---

Record 3
# Ba3FeGe5O14 (GGA+U, optimized geometry)
# * DFT formation energy: -2.46 eV/atom
# * energy with MP2020 corrections: -7.096 eV/atom
# * magnetization: 4.00 μB/f.u.
data_Ba3FeGe5O14
_cell_length_a 8.6077
_cell_length_b 8.6077
_cell_length_c 5.4057
_cell_angle_alpha 90.00
_cell_angle_beta 90.00
_cell_angle_gamma 120.00
_symmetry_space_group_name_H-M 'P 3'
_symmetry_Int_Tables_number 143
loop_
_symmetry_equiv_pos_as_xyz
'x,y,z'
'-y,x-y,z'
'-x+y,-x,z'
loop_
_atom_site_label
_atom_site_type_symbol
_atom_site_fract_x
_atom_site_fract_y
_atom_site_fract_z
Ba1 Ba 0.0000 0.5850 0.0000
Fe1 Fe 0.0000 0.0000 0.9994
Ge1 Ge 0.9998 0.2472 0.5001
Ge2 Ge 0.3333 0.6667 0.4957
Ge3 Ge 0.6667 0.3333 0.5048
O1 O 0.1119 0.8836 0.7490
O2 O 0.1603 0.4659 0.3485
O3 O 0.2285 0.1159 0.2504
O4 O 0.3333 0.6667 0.8140
O5 O 0.4657 0.1609 0.6518
O6 O 0.6667 0.3333 0.1868